1.
{
  "formula": "VH16C4N3O12",
  "functional": "PBE+U",
  "state": "relaxed",
  "final_energy_ev_per_atom": -6.028,
  "formation_enthalpy_0k_mev_per_atom": -1174.3,
  "spacegroup": "No. 19",
  "corrected_energy_ev_per_atom": -6.30,
  "mass_density_g_cm3": 1.60,
  "lattice": [[8.044, 0.000, 0.000], [0.000, 11.343, 0.000], [0.000, 0.000, 15.919]],
  "species": ["O", "O", "O", "O", "O", "O", "O", "O", "O", "O", "O", "O", "O", "O", "O", "O", "O", "O", "O", "O", "O", "O", "O", "O", "O", "O", "O", "O", "O", "O", "O", "O", "O", "O", "O", "O", "O", "O", "O", "O", "O", "O", "O", "O", "O", "O", "O", "O", "H", "H", "H", "H", "H", "H", "H", "H", "H", "H", "H", "H", "H", "H", "H", "H", "H", "H", "H", "H", "H", "H", "H", "H", "H", "H", "H", "H", "H", "H", "H", "H", "H", "H", "H", "H", "H", "H", "H", "H", "H", "H", "H", "H", "H", "H", "H", "H", "H", "H", "H", "H", "H", "H", "H", "H", "H", "H", "H", "H", "H", "H", "H", "H", "N", "N", "N", "N", "N", "N", "N", "N", "N", "N", "N", "N", "C", "C", "C", "C", "C", "C", "C", "C", "C", "C", "C", "C", "C", "C", "C", "C", "V", "V", "V", "V"],
  "frac_coords": [[0.906, 0.577, 0.824], [0.230, 0.568, 0.815], [0.562, 0.122, 0.111], [0.770, 0.068, 0.685], [0.278, 0.658, 0.248], [0.778, 0.842, 0.752], [0.730, 0.932, 0.185], [0.129, 0.874, 0.759], [0.594, 0.423, 0.324], [0.438, 0.622, 0.389], [0.431, 0.475, 0.164], [0.584, 0.284, 0.425], [0.291, 0.765, 0.456], [0.916, 0.716, 0.925], [0.416, 0.784, 0.075], [0.952, 0.457, 0.042], [0.406, 0.923, 0.176], [0.383, 0.203, 0.806], [0.048, 0.957, 0.458], [0.871, 0.374, 0.741], [0.440, 0.010, 0.637], [0.931, 0.025, 0.836], [0.060, 0.990, 0.137], [0.722, 0.158, 0.252], [0.117, 0.797, 0.306], [0.569, 0.975, 0.336], [0.548, 0.543, 0.542], [0.069, 0.525, 0.664], [0.222, 0.342, 0.748], [0.270, 0.432, 0.315], [0.738, 0.205, 0.582], [0.084, 0.216, 0.575], [0.452, 0.043, 0.958], [0.209, 0.235, 0.956], [0.094, 0.077, 0.676], [0.709, 0.265, 0.044], [0.560, 0.510, 0.863], [0.062, 0.378, 0.889], [0.940, 0.490, 0.363], [0.883, 0.297, 0.194], [0.791, 0.735, 0.544], [0.938, 0.878, 0.611], [0.238, 0.295, 0.418], [0.371, 0.126, 0.259], [0.762, 0.795, 0.082], [0.617, 0.703, 0.694], [0.262, 0.705, 0.918], [0.629, 0.626, 0.241], [0.244, 0.978, 0.970], [0.929, 0.448, 0.475], [0.474, 0.764, 0.905], [0.038, 0.595, 0.078], [0.989, 0.422, 0.988], [0.901, 0.784, 0.340], [0.489, 0.078, 0.012], [0.368, 0.323, 0.655], [0.333, 0.292, 0.555], [0.056, 0.978, 0.919], [0.096, 0.892, 0.425], [0.726, 0.704, 0.330], [0.599, 0.216, 0.840], [0.256, 0.022, 0.470], [0.038, 0.467, 0.330], [0.026, 0.236, 0.405], [0.571, 0.552, 0.975], [0.841, 0.459, 0.334], [0.213, 0.654, 0.639], [0.744, 0.522, 0.030], [0.856, 0.350, 0.549], [0.444, 0.022, 0.419], [0.556, 0.522, 0.081], [0.774, 0.296, 0.830], [0.071, 0.948, 0.025], [0.787, 0.154, 0.861], [0.659, 0.541, 0.834], [0.756, 0.478, 0.530], [0.974, 0.736, 0.095], [0.401, 0.716, 0.660], [0.274, 0.204, 0.170], [0.462, 0.405, 0.578], [0.704, 0.254, 0.928], [0.667, 0.792, 0.945], [0.144, 0.850, 0.951], [0.962, 0.095, 0.422], [0.868, 0.177, 0.345], [0.833, 0.208, 0.445], [0.204, 0.246, 0.072], [0.526, 0.264, 0.595], [0.962, 0.967, 0.170], [0.011, 0.922, 0.512], [0.538, 0.905, 0.922], [0.462, 0.533, 0.830], [0.596, 0.608, 0.575], [0.287, 0.346, 0.139], [0.632, 0.823, 0.845], [0.904, 0.392, 0.075], [0.511, 0.578, 0.488], [0.167, 0.708, 0.055], [0.644, 0.650, 0.049], [0.341, 0.041, 0.666], [0.796, 0.746, 0.428], [0.296, 0.754, 0.572], [0.944, 0.478, 0.581], [0.356, 0.150, 0.451], [0.538, 0.033, 0.670], [0.429, 0.052, 0.525], [0.132, 0.677, 0.155], [0.713, 0.846, 0.361], [0.226, 0.796, 0.670], [0.404, 0.108, 0.925], [0.099, 0.284, 0.160], [0.159, 0.959, 0.166], [0.216, 0.270, 0.135], [0.716, 0.230, 0.865], [0.627, 0.562, 0.034], [0.284, 0.730, 0.635], [0.373, 0.062, 0.466], [0.784, 0.770, 0.365], [0.077, 0.680, 0.096], [0.577, 0.820, 0.904], [0.873, 0.438, 0.534], [0.127, 0.938, 0.966], [0.423, 0.320, 0.596], [0.923, 0.180, 0.404], [0.828, 0.796, 0.606], [0.328, 0.704, 0.394], [0.324, 0.359, 0.370], [0.231, 0.724, 0.311], [0.672, 0.204, 0.106], [0.016, 0.148, 0.624], [0.172, 0.296, 0.894], [0.176, 0.641, 0.870], [0.731, 0.776, 0.689], [0.824, 0.141, 0.630], [0.676, 0.859, 0.130], [0.516, 0.352, 0.376], [0.484, 0.852, 0.124], [0.984, 0.648, 0.876], [0.769, 0.224, 0.189], [0.269, 0.276, 0.811], [0.464, 0.540, 0.257], [0.964, 0.960, 0.743], [0.036, 0.460, 0.757], [0.536, 0.040, 0.243]]
}


2.
{
  "formula": "V5H28C8N13O17",
  "functional": "PBE+U",
  "state": "relaxed",
  "final_energy_ev_per_atom": -6.373,
  "formation_enthalpy_0k_mev_per_atom": -928.5,
  "spacegroup": "No. 2",
  "corrected_energy_ev_per_atom": -6.66,
  "mass_density_g_cm3": 1.88,
  "lattice": [[-7.754, -5.407, -5.099], [4.624, -9.811, 2.721], [-9.971, -3.689, 8.108]],
  "species": ["V", "V", "V", "V", "V", "V", "V", "V", "V", "V", "H", "H", "H", "H", "H", "H", "H", "H", "H", "H", "H", "H", "H", "H", "H", "H", "H", "H", "H", "H", "H", "H", "H", "H", "H", "H", "H", "H", "H", "H", "H", "H", "H", "H", "H", "H", "H", "H", "H", "H", "H", "H", "H", "H", "H", "H", "H", "H", "H", "H", "H", "H", "H", "H", "H", "H", "O", "O", "O", "O", "O", "O", "O", "O", "O", "O", "O", "O", "O", "O", "O", "O", "O", "O", "O", "O", "O", "O", "O", "O", "O", "O", "O", "O", "O", "O", "O", "O", "O", "O", "N", "N", "N", "N", "N", "N", "N", "N", "N", "N", "N", "N", "N", "N", "N", "N", "N", "N", "N", "N", "N", "N", "N", "N", "N", "N", "C", "C", "C", "C", "C", "C", "C", "C", "C", "C", "C", "C", "C", "C", "C", "C"],
  "frac_coords": [[0.262, 0.386, 0.537], [0.549, 0.379, 0.554], [0.596, 0.541, 0.718], [0.501, 0.772, 0.614], [0.738, 0.614, 0.463], [0.693, 0.454, 0.298], [0.499, 0.228, 0.386], [0.404, 0.459, 0.282], [0.307, 0.546, 0.702], [0.451, 0.621, 0.446], [0.711, 0.793, 0.303], [0.649, 0.564, 0.078], [0.238, 0.055, 0.726], [0.188, 0.801, 0.788], [0.313, 0.311, 0.820], [0.368, 0.794, 0.279], [0.208, 0.246, 0.369], [0.807, 0.945, 0.996], [0.316, 0.933, 0.526], [0.693, 0.270, 0.089], [0.925, 0.583, 0.599], [0.307, 0.730, 0.911], [0.193, 0.770, 0.571], [0.762, 0.945, 0.274], [0.129, 0.610, 0.025], [0.830, 0.032, 0.096], [0.812, 0.199, 0.212], [0.099, 0.593, 0.581], [0.577, 0.076, 0.688], [0.128, 0.107, 0.371], [0.693, 0.597, 0.936], [0.087, 0.861, 0.309], [0.582, 0.890, 0.777], [0.034, 0.832, 0.853], [0.595, 0.335, 0.017], [0.418, 0.110, 0.223], [0.632, 0.206, 0.721], [0.249, 0.078, 0.539], [0.170, 0.968, 0.904], [0.289, 0.207, 0.697], [0.684, 0.067, 0.474], [0.872, 0.893, 0.629], [0.871, 0.390, 0.975], [0.687, 0.689, 0.180], [0.966, 0.168, 0.147], [0.015, 0.681, 0.140], [0.392, 0.824, 0.967], [0.751, 0.922, 0.461], [0.985, 0.319, 0.860], [0.901, 0.407, 0.419], [0.307, 0.403, 0.064], [0.950, 0.279, 0.717], [0.913, 0.139, 0.691], [0.351, 0.436, 0.922], [0.050, 0.721, 0.283], [0.423, 0.924, 0.312], [0.075, 0.417, 0.401], [0.792, 0.754, 0.631], [0.872, 0.430, 0.843], [0.669, 0.877, 0.864], [0.807, 0.230, 0.429], [0.608, 0.176, 0.033], [0.128, 0.570, 0.157], [0.193, 0.055, 0.004], [0.331, 0.123, 0.136], [0.405, 0.665, 0.983], [0.510, 0.085, 0.364], [0.847, 0.481, 0.211], [0.280, 0.561, 0.560], [0.793, 0.803, 0.931], [0.243, 0.432, 0.408], [0.757, 0.568, 0.592], [0.480, 0.433, 0.432], [0.435, 0.766, 0.488], [0.409, 0.509, 0.785], [0.720, 0.439, 0.440], [0.397, 0.623, 0.339], [0.642, 0.622, 0.357], [0.997, 0.997, 0.387], [0.676, 0.766, 0.501], [0.434, 0.294, 0.286], [0.874, 0.137, 0.171], [0.649, 0.517, 0.817], [0.603, 0.377, 0.661], [0.153, 0.519, 0.789], [0.351, 0.483, 0.183], [0.490, 0.915, 0.636], [0.324, 0.710, 0.698], [0.358, 0.378, 0.643], [0.591, 0.491, 0.215], [0.207, 0.197, 0.069], [0.520, 0.567, 0.568], [0.126, 0.863, 0.829], [0.324, 0.234, 0.499], [0.106, 0.363, 0.624], [0.566, 0.706, 0.714], [0.003, 0.003, 0.613], [0.676, 0.290, 0.302], [0.894, 0.637, 0.376], [0.565, 0.234, 0.512], [0.309, 0.379, 0.992], [0.884, 0.209, 0.740], [0.896, 0.184, 0.412], [0.620, 0.115, 0.732], [0.116, 0.791, 0.260], [0.993, 0.369, 0.404], [0.874, 0.802, 0.625], [0.104, 0.816, 0.588], [0.727, 0.754, 0.117], [0.218, 0.739, 0.081], [0.767, 0.013, 0.446], [0.805, 0.954, 0.072], [0.007, 0.631, 0.596], [0.254, 0.134, 0.752], [0.623, 0.930, 0.823], [0.708, 0.091, 0.870], [0.126, 0.198, 0.375], [0.233, 0.987, 0.554], [0.380, 0.885, 0.268], [0.746, 0.866, 0.248], [0.273, 0.246, 0.883], [0.195, 0.046, 0.928], [0.691, 0.621, 0.008], [0.782, 0.261, 0.919], [0.377, 0.070, 0.177], [0.292, 0.909, 0.130], [0.760, 0.861, 0.145], [0.789, 0.188, 0.842], [0.654, 0.048, 0.807], [0.008, 0.251, 0.396], [0.346, 0.952, 0.193], [0.992, 0.749, 0.604], [0.260, 0.271, 0.988], [0.663, 0.261, 0.020], [0.211, 0.812, 0.158], [0.240, 0.139, 0.855], [0.108, 0.941, 0.587], [0.883, 0.355, 0.897], [0.740, 0.729, 0.012], [0.892, 0.059, 0.413], [0.117, 0.645, 0.103], [0.337, 0.739, 0.980]]
}